[1]
## TiTl2W (PBE)

Data for a relaxed structure of TiTl2W.

Cell: 6.792 6.792 6.792 Å, 90.00 90.00 90.00°
Space group Fm-3m (No. 225)
Unique sites:
Ti 0.000 0.000 0.000 [4 per cell]
Tl 0.250 0.250 0.250 [8 per cell]
W 0.000 0.000 0.500 [4 per cell]

Formation energy   794 meV/atom
Spin magnetization   0.01 μB per cell

[2]
## UTi (PBE)

Data for a relaxed structure of UTi.

Cell: 2.9476 2.9476 5.1030 Å, 90.00 90.00 120.00°
Space group P-6m2 (No. 187)
Unique sites:
U 0.0000 0.0000 0.0000 [1 per cell]
Ti 0.3333 0.6667 0.5000 [1 per cell]

Formation energy   149 meV/atom
Spin magnetization   0.00 μB per cell

formation energy of number 2 (UTi)? 149 meV/atom

Copy entry 2 word for word.
## UTi (PBE)

Data for a relaxed structure of UTi.

Cell: 2.9476 2.9476 5.1030 Å, 90.00 90.00 120.00°
Space group P-6m2 (No. 187)
Unique sites:
U 0.0000 0.0000 0.0000 [1 per cell]
Ti 0.3333 0.6667 0.5000 [1 per cell]

Formation energy   149 meV/atom
Spin magnetization   0.00 μB per cell